Density functional theory data (PBE-GGA) for a geometry-optimized La4Dy11S22 structure.

Cell lengths 19.8298, 19.8298, 11.4278 Å; angles 91.67, 91.67, 11.55 degrees
Fractional coordinates of all 37 atoms:
La: 0.1043 0.1043 0.0115
La: 0.3672 0.3672 0.3469
La: 0.6328 0.6328 0.6531
La: 0.8957 0.8957 0.9885
Dy: 0.0000 0.0000 0.0000
Dy: 0.0694 0.0694 0.3605
Dy: 0.2023 0.2023 0.9424
Dy: 0.2637 0.2637 0.3517
Dy: 0.3422 0.3422 0.6990
Dy: 0.4621 0.4621 0.2711
Dy: 0.5379 0.5379 0.7289
Dy: 0.6578 0.6578 0.3010
Dy: 0.7363 0.7363 0.6483
Dy: 0.7977 0.7977 0.0576
Dy: 0.9306 0.9306 0.6395
S: 0.0077 0.0077 0.2389
S: 0.0873 0.0873 0.7517
S: 0.1346 0.1346 0.4530
S: 0.1684 0.1684 0.1517
S: 0.1890 0.1890 0.6915
S: 0.2554 0.2554 0.1185
S: 0.2799 0.2799 0.5902
S: 0.3503 0.3503 0.0912
S: 0.4072 0.4072 0.7875
S: 0.4454 0.4454 0.4952
S: 0.4533 0.4533 0.0308
S: 0.5467 0.5467 0.9692
S: 0.5546 0.5546 0.5048
S: 0.5928 0.5928 0.2125
S: 0.6497 0.6497 0.9088
S: 0.7201 0.7201 0.4098
S: 0.7446 0.7446 0.8815
S: 0.8110 0.8110 0.3085
S: 0.8316 0.8316 0.8483
S: 0.8654 0.8654 0.5470
S: 0.9127 0.9127 0.2483
S: 0.9923 0.9923 0.7611

Output
- Raw total energy: -6.463 eV/atom
- Energy of formation from the pure elements: -2.40 eV per atom
- Calculated volume: 899.1 Å³ per cell
- Calculated density: 5.63 g/cm3

=====

Density functional theory data (PBE-GGA) for a geometry-optimized Na5Sc2In2P5SO24 structure.

Cell lengths 8.9964, 9.0275, 22.9394 Å; angles 89.79, 89.91, 60.12 degrees
Fractional coordinates of all 117 atoms:
Na: 0.0000 0.0000 0.0000
Na: 0.0002 0.3563 0.2494
Na: 0.0239 0.6590 0.0823
Na: 0.2946 0.6641 0.5817
Na: 0.3182 0.3319 0.6658
Na: 0.3327 0.9608 0.4156
Na: 0.3407 0.3200 0.1653
Na: 0.3556 0.9941 0.7488
Na: 0.6333 0.9934 0.2485
Na: 0.6551 0.6496 0.3325
Na: 0.6615 0.6454 0.8316
Na: 0.6954 0.9659 0.9171
Na: 0.9669 0.6926 0.4168
Na: 0.9678 0.3261 0.9154
Na: 0.9841 0.0061 0.4995
Sc: 0.0058 0.9910 0.6489
Sc: 0.0091 0.9892 0.8493
Sc: 0.3242 0.3425 0.8151
Sc: 0.3274 0.3188 0.5170
Sc: 0.6645 0.6582 0.9809
Sc: 0.6765 0.6534 0.6838
In: 0.3332 0.3341 0.3171
In: 0.3363 0.3165 0.0146
In: 0.6611 0.6614 0.1817
In: 0.6666 0.6602 0.4844
In: 0.9921 0.0041 0.1486
In: 0.9944 0.9976 0.3491
P: 0.0000 0.6960 0.2480
P: 0.0347 0.3276 0.4152
P: 0.0367 0.6241 0.9176
P: 0.2942 0.6982 0.7475
P: 0.2955 0.9928 0.2503
P: 0.3325 0.0312 0.9135
P: 0.3334 0.6214 0.4184
P: 0.3713 0.9548 0.5842
P: 0.6258 0.0332 0.4160
P: 0.6261 0.3263 0.9148
P: 0.6641 0.9564 0.0822
P: 0.6997 0.2918 0.2489
P: 0.9614 0.3640 0.0816
P: 0.9620 0.6616 0.5822
P: 0.9976 0.2869 0.7501
S: 0.3680 0.6597 0.0817
S: 0.6656 0.3638 0.5835
S: 0.7039 0.9944 0.7495
O: 0.0048 0.8074 0.9079
O: 0.0245 0.1685 0.6976
O: 0.0248 0.7771 0.1922
O: 0.0278 0.1593 0.4127
O: 0.1069 0.3604 0.3580
O: 0.1247 0.5023 0.8657
O: 0.1371 0.3594 0.0772
O: 0.1394 0.5522 0.9745
O: 0.1462 0.5029 0.5781
O: 0.1541 0.3011 0.4674
O: 0.1548 0.5126 0.2526
O: 0.1659 0.8015 0.4141
O: 0.1671 0.2946 0.7551
O: 0.1692 0.0151 0.9071
O: 0.1790 0.0261 0.1970
O: 0.1860 0.7808 0.6919
O: 0.1908 0.9699 0.5904
O: 0.1945 0.8147 0.0849
O: 0.2040 0.8166 0.8003
O: 0.2208 0.9655 0.3076
O: 0.2891 0.1468 0.9677
O: 0.3070 0.5357 0.4729
O: 0.3126 0.1570 0.2539
O: 0.3130 0.5198 0.7547
O: 0.3446 0.5083 0.0770
O: 0.3543 0.1324 0.5778
O: 0.3596 0.5182 0.3626
O: 0.3646 0.1136 0.8590
O: 0.4423 0.8433 0.5281
O: 0.4555 0.6796 0.0301
O: 0.4673 0.6351 0.1357
O: 0.4709 0.6904 0.7421
O: 0.4786 0.8363 0.2446
O: 0.4826 0.8633 0.6382
O: 0.4885 0.6518 0.4226
O: 0.4971 0.8555 0.9221
O: 0.5052 0.3552 0.5779
O: 0.5069 0.1371 0.0780
O: 0.5112 0.3523 0.8618
O: 0.5218 0.1041 0.3587
O: 0.5235 0.3021 0.2544
O: 0.5285 0.1459 0.7541
O: 0.5319 0.1469 0.4684
O: 0.5534 0.2870 0.9700
O: 0.6378 0.4767 0.6340
O: 0.6395 0.8786 0.1392
O: 0.6430 0.8520 0.4210
O: 0.6527 0.4830 0.9211
O: 0.6820 0.8406 0.7440
O: 0.6860 0.8427 0.0282
O: 0.6886 0.4683 0.2427
O: 0.6970 0.4348 0.5294
O: 0.7759 0.1776 0.1948
O: 0.7895 0.0153 0.6981
O: 0.8050 0.9707 0.8034
O: 0.8078 0.1640 0.9074
O: 0.8103 0.0062 0.4132
O: 0.8149 0.2157 0.3034
O: 0.8159 0.1911 0.5915
O: 0.8339 0.6806 0.2446
O: 0.8383 0.9566 0.0846
O: 0.8390 0.4662 0.7426
O: 0.8496 0.4558 0.0274
O: 0.8552 0.6386 0.9220
O: 0.8582 0.4917 0.4220
O: 0.8619 0.6892 0.5245
O: 0.8678 0.6359 0.6340
O: 0.8831 0.4703 0.1380
O: 0.9673 0.8062 0.3036
O: 0.9728 0.2056 0.8064
O: 0.9806 0.1846 0.0842
O: 0.9838 0.8212 0.5902

Output
- Raw total energy: -6.774 eV/atom
- Energy of formation from the pure elements: -2.72 eV per atom
- Calculated volume: 1615.3 Å³ per cell
- Calculated density: 3.10 g/cm3

=====

Density functional theory data (PBE-GGA) for a geometry-optimized Rb3AsSe4 structure.

Cell lengths 9.8428, 11.5146, 10.4273 Å; angles 90.00, 90.00, 90.00 degrees
Fractional coordinates of all 32 atoms:
Rb: 0.0618 0.0444 0.1943
Rb: 0.0618 0.4556 0.1943
Rb: 0.1485 0.7500 0.4211
Rb: 0.3515 0.2500 0.9211
Rb: 0.4382 0.5444 0.6943
Rb: 0.4382 0.9556 0.6943
Rb: 0.5618 0.0444 0.3057
Rb: 0.5618 0.4556 0.3057
Rb: 0.6485 0.7500 0.0789
Rb: 0.8515 0.2500 0.5789
Rb: 0.9382 0.5444 0.8057
Rb: 0.9382 0.9556 0.8057
As: 0.2336 0.7500 0.9767
As: 0.2664 0.2500 0.4767
As: 0.7336 0.7500 0.5233
As: 0.7664 0.2500 0.0233
Se: 0.0240 0.7500 0.0897
Se: 0.1430 0.0793 0.5271
Se: 0.1430 0.4207 0.5271
Se: 0.1866 0.7500 0.7553
Se: 0.3134 0.2500 0.2553
Se: 0.3570 0.5793 0.0271
Se: 0.3570 0.9207 0.0271
Se: 0.4760 0.2500 0.5897
Se: 0.5240 0.7500 0.4103
Se: 0.6430 0.0793 0.9729
Se: 0.6430 0.4207 0.9729
Se: 0.6866 0.7500 0.7447
Se: 0.8134 0.2500 0.2447
Se: 0.8570 0.5793 0.4729
Se: 0.8570 0.9207 0.4729
Se: 0.9760 0.2500 0.9103

Output
- Raw total energy: -3.519 eV/atom
- Energy of formation from the pure elements: -1.06 eV per atom
- Calculated volume: 1181.8 Å³ per cell
- Calculated density: 3.64 g/cm3

=====

Density functional theory data (PBE-GGA) for a geometry-optimized CdC2O7 structure.

Cell lengths 6.0139, 7.2767, 9.3830 Å; angles 97.98, 103.17, 102.86 degrees
Fractional coordinates of all 20 atoms:
Cd: 0.2251 0.1727 0.1828
Cd: 0.7749 0.8273 0.8172
C: 0.2544 0.7978 0.4064
C: 0.3834 0.9288 0.9475
C: 0.6166 0.0712 0.0525
C: 0.7456 0.2022 0.5936
O: 0.1389 0.3344 0.3500
O: 0.1478 0.8370 0.2980
O: 0.1912 0.9475 0.9771
O: 0.3666 0.7643 0.5144
O: 0.3787 0.3305 0.7541
O: 0.3973 0.8077 0.8431
O: 0.4306 0.5712 0.1598
O: 0.5694 0.4288 0.8402
O: 0.6027 0.1923 0.1569
O: 0.6213 0.6695 0.2459
O: 0.6334 0.2357 0.4856
O: 0.8088 0.0525 0.0229
O: 0.8522 0.1630 0.7020
O: 0.8611 0.6656 0.6500

Output
- Raw total energy: -6.068 eV/atom
- Energy of formation from the pure elements: -0.78 eV per atom
- Calculated volume: 381.9 Å³ per cell
- Calculated density: 2.16 g/cm3

=====

Density functional theory data (PBE-GGA) for a geometry-optimized Er2MgOs structure.

Cell lengths 4.9570, 4.9570, 4.9570 Å; angles 60.00, 60.00, 60.00 degrees
Fractional coordinates of all 4 atoms:
Er: 0.2500 0.2500 0.2500
Er: 0.7500 0.7500 0.7500
Mg: 0.0000 0.0000 0.0000
Os: 0.5000 0.5000 0.5000

Output
- Raw total energy: -5.672 eV/atom
- Energy of formation from the pure elements: -0.18 eV per atom
- Calculated volume: 86.1 Å³ per cell
- Calculated density: 10.59 g/cm3

=====

Density functional theory data (PBE-GGA) for a geometry-optimized NiH4Cl2 structure.

Cell lengths 4.8980, 4.8980, 9.9858 Å; angles 90.00, 90.00, 90.00 degrees
Fractional coordinates of all 21 atoms:
Ni: 0.0000 0.0000 0.0000
Ni: 0.5000 0.5000 0.3026
Ni: 0.5000 0.5000 0.6974
H: 0.2258 0.5000 0.2328
H: 0.2258 0.5000 0.7672
H: 0.5000 0.2258 0.2328
H: 0.5000 0.2258 0.7672
H: 0.5000 0.5000 0.1584
H: 0.5000 0.5000 0.4635
H: 0.5000 0.5000 0.5365
H: 0.5000 0.5000 0.8416
H: 0.5000 0.7742 0.2328
H: 0.5000 0.7742 0.7672
H: 0.7742 0.5000 0.2328
H: 0.7742 0.5000 0.7672
Cl: 0.0000 0.0000 0.2183
Cl: 0.0000 0.0000 0.7817
Cl: 0.0000 0.5000 0.0000
Cl: 0.0000 0.5000 0.5000
Cl: 0.5000 0.0000 0.0000
Cl: 0.5000 0.0000 0.5000

Output
- Raw total energy: -2.898 eV/atom
- Energy of formation from the pure elements: 0.22 eV per atom
- Calculated volume: 239.6 Å³ per cell
- Calculated density: 2.78 g/cm3

=====

Density functional theory data (PBE-GGA) for a geometry-optimized Br structure.

Cell lengths 19.7455, 17.4948, 13.5330 Å; angles 77.89, 60.03, 42.08 degrees
Fractional coordinates of all 32 atoms:
Br: 0.1030 0.1191 0.7276
Br: 0.1191 0.1030 0.5503
Br: 0.1266 0.2286 0.2829
Br: 0.1382 0.7171 0.7714
Br: 0.1862 0.2874 0.8143
Br: 0.1857 0.7879 0.8138
Br: 0.2121 0.8143 0.2874
Br: 0.2286 0.1266 0.8618
Br: 0.2724 0.4497 0.8970
Br: 0.2829 0.8618 0.1266
Br: 0.2874 0.1862 0.2121
Br: 0.2973 0.3186 0.3619
Br: 0.3186 0.2973 0.5222
Br: 0.3619 0.5222 0.2973
Br: 0.4497 0.2724 0.8809
Br: 0.4778 0.6381 0.6814
Br: 0.5222 0.3619 0.3186
Br: 0.5503 0.7276 0.1191
Br: 0.6381 0.4778 0.7027
Br: 0.6814 0.7027 0.4778
Br: 0.7027 0.6814 0.6381
Br: 0.7126 0.8138 0.7879
Br: 0.7171 0.1382 0.8734
Br: 0.7276 0.5503 0.1030
Br: 0.7714 0.8734 0.1382
Br: 0.7879 0.1857 0.7126
Br: 0.8143 0.2121 0.1862
Br: 0.8138 0.7126 0.1857
Br: 0.8618 0.2829 0.2286
Br: 0.8734 0.7714 0.7171
Br: 0.8809 0.8970 0.4497
Br: 0.8970 0.8809 0.2724

Output
- Raw total energy: -1.523 eV/atom
- Energy of formation from the pure elements: 0.11 eV per atom
- Calculated volume: 2607.5 Å³ per cell
- Calculated density: 1.63 g/cm3
- Distance to the lowest polymorph of the same formula: 0.1136 eV per atom

=====

Density functional theory data (PBE-GGA) for a geometry-optimized CaB3H3O7 structure.

Cell lengths 7.2977, 8.1965, 8.4757 Å; angles 90.00, 97.99, 90.00 degrees
Fractional coordinates of all 56 atoms:
Ca: 0.0741 0.2063 0.3880
Ca: 0.0741 0.2937 0.8880
Ca: 0.9259 0.7063 0.1120
Ca: 0.9259 0.7937 0.6120
B: 0.2202 0.6463 0.8856
B: 0.2202 0.8537 0.3856
B: 0.3120 0.0391 0.1672
B: 0.3120 0.4609 0.6672
B: 0.4865 0.1917 0.7178
B: 0.4865 0.3083 0.2178
B: 0.5135 0.6917 0.7822
B: 0.5135 0.8083 0.2822
B: 0.6880 0.5391 0.3328
B: 0.6880 0.9609 0.8328
B: 0.7798 0.1463 0.6144
B: 0.7798 0.3537 0.1144
H: 0.1337 0.6165 0.4193
H: 0.1337 0.8835 0.9193
H: 0.3126 0.5428 0.1112
H: 0.3126 0.9572 0.6112
H: 0.3520 0.0504 0.9333
H: 0.3520 0.4496 0.4333
H: 0.6480 0.5504 0.5667
H: 0.6480 0.9496 0.0667
H: 0.6874 0.0428 0.3888
H: 0.6874 0.4572 0.8888
H: 0.8663 0.1165 0.0807
H: 0.8663 0.3835 0.5807
O: 0.0763 0.7236 0.3803
O: 0.0763 0.7764 0.8803
O: 0.1689 0.5425 0.7454
O: 0.1689 0.9575 0.2454
O: 0.2006 0.5447 0.0339
O: 0.2006 0.9553 0.5339
O: 0.2442 0.0553 0.9948
O: 0.2442 0.4447 0.4948
O: 0.3420 0.2062 0.2398
O: 0.3420 0.2938 0.7398
O: 0.4009 0.7210 0.8945
O: 0.4009 0.7790 0.3945
O: 0.4907 0.5517 0.6901
O: 0.4907 0.9483 0.1901
O: 0.5093 0.0517 0.8099
O: 0.5093 0.4483 0.3099
O: 0.5991 0.2210 0.6055
O: 0.5991 0.2790 0.1055
O: 0.6580 0.7062 0.2602
O: 0.6580 0.7938 0.7602
O: 0.7558 0.5553 0.5052
O: 0.7558 0.9447 0.0052
O: 0.7994 0.0447 0.4661
O: 0.7994 0.4553 0.9661
O: 0.8311 0.0425 0.7546
O: 0.8311 0.4575 0.2546
O: 0.9237 0.2236 0.1197
O: 0.9237 0.2764 0.6197

Output
- Raw total energy: -6.928 eV/atom
- Energy of formation from the pure elements: -2.50 eV per atom
- Calculated volume: 502.1 Å³ per cell
- Calculated density: 2.48 g/cm3

=====

Density functional theory data (PBE-GGA) for a geometry-optimized Pr3RuI3 structure.

Cell lengths 9.4383, 4.3467, 12.6980 Å; angles 90.00, 93.11, 90.00 degrees
Fractional coordinates of all 14 atoms:
Pr: 0.0962 0.2500 0.3917
Pr: 0.1154 0.2500 0.8303
Pr: 0.3090 0.7500 0.6180
Pr: 0.6910 0.2500 0.3820
Pr: 0.8846 0.7500 0.1697
Pr: 0.9038 0.7500 0.6083
Ru: 0.1098 0.2500 0.6201
Ru: 0.8902 0.7500 0.3799
I: 0.1317 0.2500 0.1181
I: 0.3653 0.7500 0.8760
I: 0.3950 0.7500 0.3668
I: 0.6050 0.2500 0.6332
I: 0.6347 0.2500 0.1240
I: 0.8683 0.7500 0.8819

Output
- Raw total energy: -5.039 eV/atom
- Energy of formation from the pure elements: -1.17 eV per atom
- Calculated volume: 520.2 Å³ per cell
- Calculated density: 5.77 g/cm3

=====

Density functional theory data (PBE-GGA) for a geometry-optimized TlGeBr3 structure.

Cell lengths 5.5605, 5.5605, 5.5513 Å; angles 90.89, 90.89, 89.30 degrees
Fractional coordinates of all 5 atoms:
Tl: 0.0000 0.0000 0.0000
Ge: 0.5124 0.5124 0.4633
Br: 0.4856 0.4856 0.9898
Br: 0.4930 0.9847 0.4782
Br: 0.9847 0.4930 0.4782

Output
- Raw total energy: -3.059 eV/atom
- Energy of formation from the pure elements: -1.00 eV per atom
- Calculated volume: 171.6 Å³ per cell
- Calculated density: 5.00 g/cm3

=====

Density functional theory data (PBE-GGA) for a geometry-optimized CaMg6Zr structure.

Cell lengths 5.2172, 6.6837, 11.2437 Å; angles 90.00, 90.00, 90.00 degrees
Fractional coordinates of all 16 atoms:
Ca: 0.0000 0.5000 0.3410
Ca: 0.0000 0.0000 0.8410
Mg: 0.5000 0.7560 0.4142
Mg: 0.5000 0.2440 0.4142
Mg: 0.5000 0.5000 0.6595
Mg: 0.5000 0.2560 0.9142
Mg: 0.0000 0.2375 0.5896
Mg: 0.0000 0.7625 0.5896
Mg: 0.5000 0.7440 0.9142
Mg: 0.0000 0.2625 0.0896
Mg: 0.0000 0.0000 0.3375
Mg: 0.0000 0.7375 0.0896
Mg: 0.5000 0.0000 0.1595
Mg: 0.0000 0.5000 0.8375
Zr: 0.5000 0.5000 0.1545
Zr: 0.5000 0.0000 0.6545

Output
- Raw total energy: -2.428 eV/atom
- Energy of formation from the pure elements: 0.09 eV per atom
- Calculated volume: 392.1 Å³ per cell
- Calculated density: 2.35 g/cm3
- Distance to the lowest polymorph of the same formula: 0.0771 eV per atom

=====

> What is the formula in the tenth record?

TlGeBr3

=====

> Look up the calculated volume of the eighth one.

502.1 Å³ per cell

=====

> Which value of calculated volume does entry 5 give?

86.1 Å³ per cell